Entry 1:
The following is a DFT calculation (meta-GGA r2SCAN) of a relaxed structure of RbVCl3.

Summary:
**Formation energy**: -1.87 eV/atom
**Magnetic moment**: 6.0 μB/cell
**DFT total energy**: -11.17 eV per atom
**Space-group type**: P6_3/mmc (194)

a = 7.021 Å, b = 7.021 Å, c = 6.162 Å
α = 90.00°, β = 90.00°, γ = 120.00°
Sites, in units of the cell vectors:
Rb 0.333 0.667 0.250
Rb 0.667 0.333 0.750
V 0.000 0.000 0.000
V 0.000 0.000 0.500
Cl 0.161 0.322 0.750
Cl 0.161 0.839 0.750
Cl 0.322 0.161 0.250
Cl 0.678 0.839 0.750
Cl 0.839 0.161 0.250
Cl 0.839 0.678 0.250

=====

Entry 2:
The following is a DFT calculation (meta-GGA r2SCAN) of a relaxed structure of TmScZn2.

Summary:
**Formation energy**: -0.39 eV/atom
**Magnetic moment**: 0.0 μB/cell
**DFT total energy**: -16.48 eV per atom
**Space-group type**: Fm-3m (225)

a = 4.831 Å, b = 4.831 Å, c = 4.831 Å
α = 60.00°, β = 60.00°, γ = 60.00°
Sites, in units of the cell vectors:
Tm 0.000 0.000 0.000
Sc 0.500 0.500 0.500
Zn 0.250 0.250 0.250
Zn 0.750 0.750 0.750

=====

Entry 3:
The following is a DFT calculation (meta-GGA r2SCAN) of a relaxed structure of VCl3.

Summary:
**Formation energy**: -1.52 eV/atom
**Magnetic moment**: 4.0 μB/cell
**DFT total energy**: -9.66 eV per atom
**Space-group type**: P-1 (2)

a = 6.051 Å, b = 6.060 Å, c = 6.942 Å
α = 90.06°, β = 115.83°, γ = 119.94°
Sites, in units of the cell vectors:
V 0.167 0.334 0.000
V 0.833 0.666 0.000
Cl 0.001 0.426 0.225
Cl 0.300 0.074 0.223
Cl 0.350 0.275 0.775
Cl 0.650 0.725 0.225
Cl 0.700 0.926 0.777
Cl 0.999 0.574 0.775

=====

Entry 4:
The following is a DFT calculation (meta-GGA r2SCAN) of a relaxed structure of TmSiIr.

Summary:
**Formation energy**: -1.22 eV/atom
**Magnetic moment**: 0.0 μB/cell
**DFT total energy**: -33.30 eV per atom
**Space-group type**: Pnma (62)

a = 6.734 Å, b = 4.175 Å, c = 7.391 Å
α = 90.00°, β = 90.00°, γ = 90.00°
Sites, in units of the cell vectors:
Tm 0.004 0.250 0.188
Tm 0.496 0.750 0.688
Tm 0.504 0.250 0.312
Tm 0.996 0.750 0.812
Si 0.203 0.750 0.388
Si 0.297 0.250 0.888
Si 0.703 0.750 0.112
Si 0.797 0.250 0.612
Ir 0.158 0.250 0.565
Ir 0.342 0.750 0.065
Ir 0.658 0.250 0.935
Ir 0.842 0.750 0.435

=====

Entry 5:
The following is a DFT calculation (meta-GGA r2SCAN) of a relaxed structure of CePt3.

Summary:
**Formation energy**: -1.03 eV/atom
**Magnetic moment**: 0.1 μB/cell
**DFT total energy**: -47.36 eV per atom
**Space-group type**: Pm-3m (221)

a = 4.149 Å, b = 4.149 Å, c = 4.149 Å
α = 90.00°, β = 90.00°, γ = 90.00°
Sites, in units of the cell vectors:
Ce 0.000 0.000 0.000
Pt 0.000 0.500 0.500
Pt 0.500 0.000 0.500
Pt 0.500 0.500 0.000

=====

Entry 6:
The following is a DFT calculation (meta-GGA r2SCAN) of a relaxed structure of K2EuCl5.

Summary:
**Formation energy**: -2.21 eV/atom
**Magnetic moment**: 24.0 μB/cell
**DFT total energy**: -12.37 eV per atom
**Space-group type**: Pnma (62)

a = 12.792 Å, b = 8.748 Å, c = 7.926 Å
α = 90.00°, β = 90.00°, γ = 90.00°
Sites, in units of the cell vectors:
K 0.172 0.003 0.044
K 0.172 0.497 0.044
K 0.328 0.503 0.544
K 0.328 0.997 0.544
K 0.672 0.003 0.456
K 0.672 0.497 0.456
K 0.828 0.503 0.956
K 0.828 0.997 0.956
Eu 0.003 0.250 0.566
Eu 0.497 0.750 0.066
Eu 0.503 0.250 0.934
Eu 0.997 0.750 0.434
Cl 0.009 0.250 0.922
Cl 0.083 0.539 0.661
Cl 0.083 0.961 0.661
Cl 0.178 0.250 0.366
Cl 0.204 0.750 0.332
Cl 0.296 0.250 0.832
Cl 0.322 0.750 0.866
Cl 0.417 0.039 0.161
Cl 0.417 0.461 0.161
Cl 0.491 0.750 0.422
Cl 0.509 0.250 0.578
Cl 0.583 0.539 0.839
Cl 0.583 0.961 0.839
Cl 0.678 0.250 0.134
Cl 0.704 0.750 0.168
Cl 0.796 0.250 0.668
Cl 0.822 0.750 0.634
Cl 0.917 0.039 0.339
Cl 0.917 0.461 0.339
Cl 0.991 0.750 0.078

=====

Entry 7:
The following is a DFT calculation (meta-GGA r2SCAN) of a relaxed structure of Nd8Ga48Cu3.

Summary:
**Formation energy**: -0.39 eV/atom
**Magnetic moment**: 0.0 μB/cell
**DFT total energy**: -14.24 eV per atom
**Space-group type**: P-42m (111)

a = 6.076 Å, b = 6.076 Å, c = 30.278 Å
α = 90.00°, β = 90.00°, γ = 90.00°
Sites, in units of the cell vectors:
Nd 0.000 0.000 0.122
Nd 0.000 0.000 0.377
Nd 0.000 0.000 0.623
Nd 0.000 0.000 0.878
Nd 0.500 0.500 0.124
Nd 0.500 0.500 0.377
Nd 0.500 0.500 0.623
Nd 0.500 0.500 0.876
Ga 0.000 0.500 0.089
Ga 0.000 0.500 0.170
Ga 0.000 0.500 0.329
Ga 0.000 0.500 0.410
Ga 0.000 0.500 0.590
Ga 0.000 0.500 0.671
Ga 0.000 0.500 0.830
Ga 0.000 0.500 0.911
Ga 0.172 0.172 0.286
Ga 0.172 0.828 0.714
Ga 0.175 0.175 0.786
Ga 0.175 0.825 0.214
Ga 0.249 0.249 0.543
Ga 0.249 0.751 0.457
Ga 0.251 0.251 0.457
Ga 0.251 0.749 0.543
Ga 0.259 0.259 0.041
Ga 0.259 0.741 0.959
Ga 0.263 0.263 0.959
Ga 0.263 0.737 0.041
Ga 0.322 0.322 0.214
Ga 0.322 0.678 0.786
Ga 0.327 0.327 0.714
Ga 0.327 0.673 0.286
Ga 0.500 0.000 0.089
Ga 0.500 0.000 0.170
Ga 0.500 0.000 0.329
Ga 0.500 0.000 0.410
Ga 0.500 0.000 0.590
Ga 0.500 0.000 0.671
Ga 0.500 0.000 0.830
Ga 0.500 0.000 0.911
Ga 0.673 0.327 0.286
Ga 0.673 0.673 0.714
Ga 0.678 0.322 0.786
Ga 0.678 0.678 0.214
Ga 0.737 0.263 0.041
Ga 0.737 0.737 0.959
Ga 0.741 0.259 0.959
Ga 0.741 0.741 0.041
Ga 0.749 0.251 0.543
Ga 0.749 0.749 0.457
Ga 0.751 0.249 0.457
Ga 0.751 0.751 0.543
Ga 0.825 0.175 0.214
Ga 0.825 0.825 0.786
Ga 0.828 0.172 0.714
Ga 0.828 0.828 0.286
Cu 0.000 0.000 0.000
Cu 0.000 0.000 0.500
Cu 0.500 0.500 0.500

=====

Entry 8:
The following is a DFT calculation (meta-GGA r2SCAN) of a relaxed structure of LuAl10Os2.

Summary:
**Formation energy**: -0.51 eV/atom
**Magnetic moment**: 0.0 μB/cell
**DFT total energy**: -16.77 eV per atom
**Space-group type**: Cmcm (63)

a = 6.797 Å, b = 6.797 Å, c = 9.049 Å
α = 90.00°, β = 90.00°, γ = 96.75°
Sites, in units of the cell vectors:
Lu 0.131 0.869 0.750
Lu 0.869 0.131 0.250
Al 0.146 0.415 0.750
Al 0.155 0.845 0.101
Al 0.155 0.845 0.399
Al 0.217 0.481 0.250
Al 0.224 0.224 0.000
Al 0.224 0.224 0.500
Al 0.376 0.624 0.547
Al 0.376 0.624 0.953
Al 0.415 0.146 0.250
Al 0.481 0.217 0.750
Al 0.519 0.783 0.250
Al 0.585 0.854 0.750
Al 0.624 0.376 0.047
Al 0.624 0.376 0.453
Al 0.776 0.776 0.000
Al 0.776 0.776 0.500
Al 0.783 0.519 0.750
Al 0.845 0.155 0.601
Al 0.845 0.155 0.899
Al 0.854 0.585 0.250
Os 0.000 0.500 0.000
Os 0.000 0.500 0.500
Os 0.500 0.000 0.000
Os 0.500 0.000 0.500